## i
## Li3FeB2O6 (PBE with a Hubbard U)

Data for a relaxed Li3FeB2O6 crystal.

```
data_Li3FeB2O6
_chemical_formula_sum 'Li6 Fe2 B4 O12'
_cell_length_a 5.039
_cell_length_b 6.428
_cell_length_c 8.047
_cell_angle_alpha 73.88
_cell_angle_beta 89.33
_cell_angle_gamma 89.32
_space_group_name_H-M_alt 'P 1'
_space_group_IT_number 1
loop_
_space_group_symop_operation_xyz
'x,y,z'
loop_
_atom_site_label
_atom_site_fract_x
_atom_site_fract_y
_atom_site_fract_z
_atom_site_occupancy
Li1 0.000 0.000 0.000 1
Li2 0.002 0.283 0.643 1
Li3 0.150 0.118 0.331 1
Li4 0.504 0.924 0.186 1
Li5 0.651 0.056 0.519 1
Li6 0.660 0.761 0.872 1
Fe1 0.179 0.466 0.984 1
Fe2 0.480 0.575 0.531 1
B1 0.166 0.852 0.684 1
B2 0.493 0.188 0.829 1
B3 0.663 0.339 0.171 1
B4 0.994 0.702 0.345 1
O1 0.037 0.018 0.573 1
O2 0.046 0.736 0.841 1
O3 0.125 0.541 0.473 1
O4 0.127 0.860 0.227 1
O5 0.228 0.248 0.860 1
O6 0.433 0.794 0.655 1
O7 0.529 0.183 0.289 1
O8 0.533 0.503 0.044 1
O9 0.609 0.299 0.669 1
O10 0.624 0.026 0.943 1
O11 0.716 0.698 0.349 1
O12 0.941 0.340 0.164 1
```

M_tot: 5.0 μB per formula unit



## ii
## Li3FeB2O6 (PBE with a Hubbard U)

Data for a relaxed Li3FeB2O6 crystal.

```
data_Li3FeB2O6
_chemical_formula_sum 'Li12 Fe4 B8 O24'
_cell_length_a 5.193
_cell_length_b 8.915
_cell_length_c 11.041
_cell_angle_alpha 90.00
_cell_angle_beta 117.01
_cell_angle_gamma 90.00
_space_group_name_H-M_alt 'P 1 21/c 1'
_space_group_IT_number 14
loop_
_space_group_symop_operation_xyz
'x,y,z'
'-x,-y,-z'
'-x,y+1/2,-z+1/2'
'x,-y+1/2,z+1/2'
loop_
_atom_site_label
_atom_site_fract_x
_atom_site_fract_y
_atom_site_fract_z
_atom_site_occupancy
Li1 0.010 0.024 0.167 1
Li2 0.050 0.658 0.880 1
Li3 0.425 0.012 0.601 1
Fe1 0.473 0.673 0.624 1
B1 0.047 0.177 0.380 1
B2 0.466 0.164 0.130 1
O1 0.127 0.183 0.850 1
O2 0.190 0.668 0.093 1
O3 0.197 0.050 0.380 1
O4 0.324 0.672 0.416 1
O5 0.352 0.027 0.139 1
O6 0.371 0.207 0.669 1
```

M_tot: 5.0 μB per formula unit



Quick one: most stable of them? ii



## i
## MgFe8O8F8 (PBE with a Hubbard U)

Data for a relaxed MgFe8O8F8 crystal.

```
data_MgFe8O8F8
_chemical_formula_sum 'Mg1 Fe8 O8 F8'
_cell_length_a 5.093
_cell_length_b 5.329
_cell_length_c 11.675
_cell_angle_alpha 89.23
_cell_angle_beta 89.60
_cell_angle_gamma 89.39
_space_group_name_H-M_alt 'P 1'
_space_group_IT_number 1
loop_
_space_group_symop_operation_xyz
'x,y,z'
loop_
_atom_site_label
_atom_site_fract_x
_atom_site_fract_y
_atom_site_fract_z
_atom_site_occupancy
Mg1 0.000 0.000 0.000 1
Fe1 0.060 0.610 0.386 1
Fe2 0.419 0.099 0.506 1
Fe3 0.492 0.239 0.004 1
Fe4 0.547 0.957 0.255 1
Fe5 0.560 0.969 0.756 1
Fe6 0.914 0.454 0.627 1
Fe7 0.932 0.465 0.146 1
Fe8 0.962 0.505 0.872 1
O1 0.139 0.360 0.013 1
O2 0.166 0.369 0.502 1
O3 0.304 0.877 0.380 1
O4 0.669 0.184 0.626 1
O5 0.729 0.148 0.881 1
O6 0.729 0.167 0.138 1
O7 0.768 0.672 0.746 1
O8 0.801 0.687 0.263 1
F1 0.179 0.338 0.741 1
F2 0.213 0.391 0.258 1
F3 0.251 0.865 0.879 1
F4 0.277 0.900 0.128 1
F5 0.293 0.873 0.632 1
F6 0.675 0.187 0.378 1
F7 0.779 0.701 0.023 1
F8 0.795 0.700 0.504 1
```

M_tot: 38.0 μB per formula unit



## ii
## MgFe8O8F8 (PBE with a Hubbard U)

Data for a relaxed MgFe8O8F8 crystal.

```
data_MgFe8O8F8
_chemical_formula_sum 'Mg1 Fe8 O8 F8'
_cell_length_a 9.871
_cell_length_b 3.066
_cell_length_c 9.913
_cell_angle_alpha 90.00
_cell_angle_beta 93.25
_cell_angle_gamma 90.00
_space_group_name_H-M_alt 'P 1 m 1'
_space_group_IT_number 6
loop_
_space_group_symop_operation_xyz
'x,y,z'
'x,-y,z'
loop_
_atom_site_label
_atom_site_fract_x
_atom_site_fract_y
_atom_site_fract_z
_atom_site_occupancy
Mg1 0.000 0.000 0.000 1
Fe1 0.214 0.000 0.499 1
Fe2 0.265 0.000 0.027 1
Fe3 0.475 0.500 0.267 1
Fe4 0.503 0.500 0.762 1
Fe5 0.700 0.000 0.073 1
Fe6 0.755 0.000 0.505 1
Fe7 0.967 0.500 0.281 1
Fe8 0.999 0.500 0.710 1
O1 0.079 0.000 0.351 1
O2 0.133 0.500 0.061 1
O3 0.146 0.500 0.595 1
O4 0.382 0.000 0.191 1
O5 0.618 0.500 0.143 1
O6 0.824 0.500 0.408 1
O7 0.886 0.000 0.157 1
O8 0.895 0.000 0.650 1
F1 0.102 0.000 0.826 1
F2 0.337 0.500 0.425 1
F3 0.365 0.500 0.920 1
F4 0.399 0.000 0.661 1
F5 0.575 0.000 0.384 1
F6 0.613 0.000 0.876 1
F7 0.651 0.500 0.607 1
F8 0.897 0.500 0.901 1
```

M_tot: 0.9 μB per formula unit



Quick one: most stable of them? ii



## i
## MgFe8O8F8 (PBE with a Hubbard U)

Data for a relaxed MgFe8O8F8 crystal.

```
data_MgFe8O8F8
_chemical_formula_sum 'Mg1 Fe8 O8 F8'
_cell_length_a 9.860
_cell_length_b 3.153
_cell_length_c 9.878
_cell_angle_alpha 90.00
_cell_angle_beta 97.23
_cell_angle_gamma 90.00
_space_group_name_H-M_alt 'P 1 m 1'
_space_group_IT_number 6
loop_
_space_group_symop_operation_xyz
'x,y,z'
'x,-y,z'
loop_
_atom_site_label
_atom_site_fract_x
_atom_site_fract_y
_atom_site_fract_z
_atom_site_occupancy
Mg1 0.000 0.000 0.000 1
Fe1 0.013 0.500 0.715 1
Fe2 0.269 0.000 0.481 1
Fe3 0.357 0.000 0.963 1
Fe4 0.454 0.500 0.258 1
Fe5 0.497 0.500 0.719 1
Fe6 0.673 0.000 0.054 1
Fe7 0.727 0.000 0.469 1
Fe8 0.938 0.500 0.263 1
O1 0.317 0.500 0.388 1
O2 0.368 0.000 0.155 1
O3 0.387 0.500 0.859 1
O4 0.423 0.000 0.626 1
O5 0.565 0.000 0.354 1
O6 0.600 0.500 0.112 1
O7 0.819 0.500 0.394 1
O8 0.862 0.000 0.141 1
F1 0.057 0.000 0.349 1
F2 0.078 0.500 0.112 1
F3 0.109 0.000 0.839 1
F4 0.161 0.500 0.580 1
F5 0.634 0.000 0.852 1
F6 0.665 0.500 0.601 1
F7 0.901 0.000 0.624 1
F8 0.907 0.500 0.894 1
```

M_tot: 1.9 μB per formula unit



## ii
## MgFe8O8F8 (PBE with a Hubbard U)

Data for a relaxed MgFe8O8F8 crystal.

```
data_MgFe8O8F8
_chemical_formula_sum 'Mg1 Fe8 O8 F8'
_cell_length_a 9.708
_cell_length_b 3.108
_cell_length_c 9.786
_cell_angle_alpha 90.00
_cell_angle_beta 92.67
_cell_angle_gamma 90.00
_space_group_name_H-M_alt 'P 1 m 1'
_space_group_IT_number 6
loop_
_space_group_symop_operation_xyz
'x,y,z'
'x,-y,z'
loop_
_atom_site_label
_atom_site_fract_x
_atom_site_fract_y
_atom_site_fract_z
_atom_site_occupancy
Mg1 0.000 0.000 0.000 1
Fe1 0.249 0.000 0.486 1
Fe2 0.285 0.000 0.940 1
Fe3 0.511 0.500 0.234 1
Fe4 0.516 0.500 0.752 1
Fe5 0.718 0.000 0.995 1
Fe6 0.733 0.000 0.471 1
Fe7 0.953 0.500 0.260 1
Fe8 0.994 0.500 0.748 1
O1 0.097 0.000 0.827 1
O2 0.368 0.500 0.865 1
O3 0.587 0.000 0.334 1
O4 0.617 0.000 0.824 1
O5 0.632 0.500 0.082 1
O6 0.836 0.500 0.410 1
O7 0.875 0.500 0.913 1
O8 0.879 0.000 0.157 1
F1 0.080 0.000 0.338 1
F2 0.108 0.500 0.090 1
F3 0.136 0.500 0.582 1
F4 0.341 0.500 0.376 1
F5 0.388 0.000 0.140 1
F6 0.417 0.000 0.628 1
F7 0.645 0.500 0.580 1
F8 0.887 0.000 0.646 1
```

M_tot: 0.0 μB per formula unit



Quick one: most stable of them? ii



## i
## Cr3P4O16 (PBE with a Hubbard U)

Data for a relaxed Cr3P4O16 crystal.

```
data_Cr3P4O16
_chemical_formula_sum 'Cr12 P16 O64'
_cell_length_a 19.123
_cell_length_b 6.369
_cell_length_c 10.762
_cell_angle_alpha 90.00
_cell_angle_beta 91.81
_cell_angle_gamma 90.00
_space_group_name_H-M_alt 'C 1 2/c 1'
_space_group_IT_number 15
loop_
_space_group_symop_operation_xyz
'x,y,z'
'-x,-y,-z'
'-x,y,-z+1/2'
'x,-y,z+1/2'
'x+1/2,y+1/2,z'
'-x+1/2,-y+1/2,-z'
'-x+1/2,y+1/2,-z+1/2'
'x+1/2,-y+1/2,z+1/2'
loop_
_atom_site_label
_atom_site_fract_x
_atom_site_fract_y
_atom_site_fract_z
_atom_site_occupancy
Cr1 0.154 0.018 0.251 1
Cr2 0.250 0.250 0.000 1
P1 0.085 0.168 0.992 1
P2 0.201 0.484 0.745 1
O1 0.016 0.283 0.968 1
O2 0.086 0.047 0.117 1
O3 0.092 0.001 0.886 1
O4 0.151 0.314 0.994 1
O5 0.156 0.327 0.272 1
O6 0.157 0.290 0.721 1
O7 0.241 0.050 0.145 1
O8 0.243 0.021 0.862 1
```

M_tot: 6.0 μB per formula unit



## ii
## Cr3P4O16 (PBE with a Hubbard U)

Data for a relaxed Cr3P4O16 crystal.

```
data_Cr3P4O16
_chemical_formula_sum 'Cr9 P12 O48'
_cell_length_a 7.751
_cell_length_b 8.796
_cell_length_c 13.163
_cell_angle_alpha 85.43
_cell_angle_beta 89.54
_cell_angle_gamma 89.63
_space_group_name_H-M_alt 'P 1'
_space_group_IT_number 1
loop_
_space_group_symop_operation_xyz
'x,y,z'
loop_
_atom_site_label
_atom_site_fract_x
_atom_site_fract_y
_atom_site_fract_z
_atom_site_occupancy
Cr1 0.000 0.000 0.000 1
Cr2 0.001 0.345 0.675 1
Cr3 0.026 0.667 0.335 1
Cr4 0.141 0.412 0.007 1
Cr5 0.473 0.834 0.672 1
Cr6 0.494 0.180 0.343 1
Cr7 0.526 0.513 0.006 1
Cr8 0.638 0.767 0.336 1
Cr9 0.859 0.934 0.670 1
P1 0.193 0.360 0.453 1
P2 0.195 0.037 0.786 1
P3 0.212 0.700 0.116 1
P4 0.299 0.524 0.782 1
P5 0.299 0.870 0.453 1
P6 0.325 0.196 0.120 1
P7 0.674 0.151 0.558 1
P8 0.702 0.821 0.895 1
P9 0.712 0.480 0.225 1
P10 0.786 0.647 0.561 1
P11 0.806 0.310 0.890 1
P12 0.825 0.985 0.224 1
O1 0.061 0.247 0.415 1
O2 0.063 0.929 0.739 1
O3 0.084 0.579 0.071 1
O4 0.118 0.509 0.738 1
O5 0.125 0.837 0.405 1
O6 0.134 0.858 0.089 1
O7 0.136 0.201 0.066 1
O8 0.139 0.526 0.427 1
O9 0.141 0.205 0.761 1
O10 0.181 0.324 0.570 1
O11 0.189 0.006 0.902 1
O12 0.208 0.667 0.232 1
O13 0.294 0.836 0.569 1
O14 0.296 0.489 0.906 1
O15 0.314 0.174 0.236 1
O16 0.356 0.035 0.428 1
O17 0.358 0.691 0.768 1
O18 0.362 0.372 0.086 1
O19 0.373 0.004 0.742 1
O20 0.377 0.340 0.410 1
O21 0.390 0.678 0.070 1
O22 0.435 0.418 0.743 1
O23 0.439 0.762 0.410 1
O24 0.445 0.081 0.079 1
O25 0.558 0.267 0.600 1
O26 0.567 0.929 0.934 1
O27 0.585 0.603 0.271 1
O28 0.608 0.669 0.606 1
O29 0.628 0.343 0.935 1
O30 0.633 0.324 0.255 1
O31 0.634 0.978 0.277 1
O32 0.638 0.975 0.591 1
O33 0.643 0.655 0.910 1
O34 0.686 0.170 0.441 1
O35 0.704 0.856 0.770 1
O36 0.707 0.513 0.109 1
O37 0.793 0.687 0.439 1
O38 0.811 0.341 0.773 1
O39 0.817 0.007 0.107 1
O40 0.857 0.141 0.916 1
O41 0.862 0.809 0.257 1
O42 0.864 0.143 0.611 1
O43 0.866 0.490 0.581 1
O44 0.885 0.838 0.936 1
O45 0.891 0.502 0.270 1
O46 0.915 0.768 0.602 1
O47 0.940 0.416 0.935 1
O48 0.942 0.099 0.266 1
```

M_tot: 6.0 μB per formula unit



Quick one: most stable of them? i